Entry 1:
CdNiP | PBE | relaxed

Unit cell a=4.256 b=4.256 c=4.256 alpha=60.00 beta=60.00 gamma=60.00
Fractional coordinates of all 3 atoms:
Cd: 0.250 0.250 0.250
Ni: 0.000 0.000 0.000
P: 0.500 0.500 0.500

SG = F-43m (216)
Formation enthalpy at 0 K = 0.565 eV per atom



Entry 2:
Pr2CdNi2 | PBE | relaxed

Unit cell a=7.556 b=7.556 c=3.872 alpha=90.00 beta=90.00 gamma=90.00
Fractional coordinates of all 10 atoms:
Cd: 0.000 0.000 0.000
Cd: 0.500 0.500 0.000
Ni: 0.616 0.884 0.000
Ni: 0.884 0.384 0.000
Ni: 0.116 0.616 0.000
Ni: 0.384 0.116 0.000
Pr: 0.822 0.678 0.500
Pr: 0.322 0.822 0.500
Pr: 0.678 0.178 0.500
Pr: 0.178 0.322 0.500

SG = P4/mbm (127)
Formation enthalpy at 0 K = -0.337 eV per atom



Entry 3:
Pr23Cd4Ni7 | PBE | relaxed

Unit cell a=9.918 b=9.918 c=22.430 alpha=90.00 beta=90.00 gamma=120.00
Fractional coordinates of all 68 atoms:
Pr: 0.206 0.794 0.720
Pr: 0.207 0.793 0.447
Pr: 0.000 0.000 0.999
Pr: 0.542 0.085 0.356
Pr: 0.458 0.915 0.856
Pr: 0.789 0.578 0.491
Pr: 0.594 0.797 0.282
Pr: 0.540 0.079 0.086
Pr: 0.797 0.594 0.782
Pr: 0.333 0.667 0.146
Pr: 0.085 0.542 0.856
Pr: 0.460 0.921 0.586
Pr: 0.206 0.412 0.720
Pr: 0.793 0.586 0.947
Pr: 0.540 0.460 0.086
Pr: 0.542 0.458 0.356
Pr: 0.746 0.873 0.134
Pr: 0.586 0.793 0.447
Pr: 0.915 0.458 0.356
Pr: 0.460 0.540 0.586
Pr: 0.422 0.211 0.491
Pr: 0.793 0.207 0.947
Pr: 0.458 0.542 0.856
Pr: 0.578 0.789 0.991
Pr: 0.203 0.797 0.282
Pr: 0.207 0.414 0.447
Pr: 0.667 0.333 0.646
Pr: 0.079 0.540 0.586
Pr: 0.921 0.460 0.086
Pr: 0.789 0.211 0.491
Pr: 0.406 0.203 0.782
Pr: 0.000 0.000 0.499
Pr: 0.873 0.127 0.634
Pr: 0.211 0.789 0.991
Pr: 0.254 0.127 0.634
Pr: 0.794 0.588 0.220
Pr: 0.588 0.794 0.720
Pr: 0.414 0.207 0.947
Pr: 0.797 0.203 0.782
Pr: 0.127 0.254 0.134
Pr: 0.873 0.746 0.634
Pr: 0.412 0.206 0.220
Pr: 0.127 0.873 0.134
Pr: 0.211 0.422 0.991
Pr: 0.203 0.406 0.282
Pr: 0.794 0.206 0.220
Ni: 0.042 0.521 0.211
Ni: 0.143 0.857 0.564
Ni: 0.857 0.714 0.064
Ni: 0.479 0.958 0.211
Ni: 0.143 0.286 0.564
Ni: 0.857 0.143 0.064
Ni: 0.286 0.143 0.064
Ni: 0.714 0.857 0.564
Ni: 0.958 0.479 0.711
Ni: 0.333 0.667 0.363
Ni: 0.521 0.479 0.711
Ni: 0.479 0.521 0.211
Ni: 0.667 0.333 0.863
Ni: 0.521 0.042 0.711
Cd: 0.000 0.000 0.749
Cd: 0.787 0.893 0.863
Cd: 0.000 0.000 0.249
Cd: 0.893 0.107 0.363
Cd: 0.107 0.213 0.863
Cd: 0.213 0.107 0.363
Cd: 0.893 0.787 0.363
Cd: 0.107 0.893 0.863

SG = P6_3mc (186)
Formation enthalpy at 0 K = -0.218 eV per atom



Entry 4:
Pr4CdNi | PBE | relaxed

Unit cell a=9.970 b=9.970 c=9.970 alpha=60.00 beta=60.00 gamma=60.00
Fractional coordinates of all 24 atoms:
Pr: 0.958 0.347 0.347
Pr: 0.563 0.937 0.937
Pr: 0.809 0.191 0.809
Pr: 0.347 0.958 0.347
Pr: 0.191 0.809 0.809
Pr: 0.809 0.191 0.191
Pr: 0.563 0.937 0.563
Pr: 0.191 0.809 0.191
Pr: 0.809 0.809 0.191
Pr: 0.937 0.563 0.937
Pr: 0.347 0.347 0.347
Pr: 0.191 0.191 0.809
Pr: 0.563 0.563 0.937
Pr: 0.937 0.937 0.563
Pr: 0.937 0.563 0.563
Pr: 0.347 0.347 0.958
Cd: 0.580 0.580 0.259
Cd: 0.259 0.580 0.580
Cd: 0.580 0.580 0.580
Cd: 0.580 0.259 0.580
Ni: 0.141 0.576 0.141
Ni: 0.141 0.141 0.576
Ni: 0.576 0.141 0.141
Ni: 0.141 0.141 0.141

SG = F-43m (216)
Formation enthalpy at 0 K = -0.229 eV per atom



Entry 5:
Sm2CdNi2 | PBE | relaxed

Unit cell a=7.466 b=7.466 c=3.783 alpha=90.00 beta=90.00 gamma=149.57
Fractional coordinates of all 5 atoms:
Sm: 0.636 0.364 0.500
Sm: 0.364 0.636 0.500
Ni: 0.201 0.799 0.000
Ni: 0.799 0.201 0.000
Cd: 0.000 0.000 0.000

SG = Cmmm (65)
Formation enthalpy at 0 K = -0.389 eV per atom



Entry 6:
SmCdNi4 | PBE | relaxed

Unit cell a=5.015 b=5.015 c=5.015 alpha=60.00 beta=60.00 gamma=60.00
Fractional coordinates of all 6 atoms:
Ni: 0.374 0.878 0.374
Ni: 0.374 0.374 0.878
Ni: 0.878 0.374 0.374
Ni: 0.374 0.374 0.374
Sm: 0.750 0.750 0.750
Cd: 0.000 0.000 0.000

SG = F-43m (216)
Formation enthalpy at 0 K = -0.313 eV per atom



Entry 7:
SmCd20Ni2 | PBE | relaxed

Unit cell a=11.147 b=11.147 c=11.147 alpha=60.00 beta=60.00 gamma=60.00
Fractional coordinates of all 46 atoms:
Ni: 0.625 0.125 0.125
Ni: 0.125 0.625 0.125
Ni: 0.125 0.125 0.125
Ni: 0.125 0.125 0.625
Cd: 0.386 0.386 0.114
Cd: 0.625 0.625 0.625
Cd: 0.301 0.829 0.301
Cd: 0.949 0.681 0.949
Cd: 0.386 0.114 0.114
Cd: 0.569 0.829 0.301
Cd: 0.949 0.421 0.949
Cd: 0.125 0.625 0.625
Cd: 0.829 0.569 0.301
Cd: 0.681 0.421 0.949
Cd: 0.421 0.681 0.949
Cd: 0.864 0.864 0.136
Cd: 0.136 0.136 0.864
Cd: 0.949 0.421 0.681
Cd: 0.114 0.386 0.114
Cd: 0.864 0.136 0.136
Cd: 0.301 0.301 0.829
Cd: 0.114 0.386 0.386
Cd: 0.301 0.569 0.829
Cd: 0.681 0.949 0.949
Cd: 0.949 0.949 0.421
Cd: 0.864 0.136 0.864
Cd: 0.301 0.829 0.569
Cd: 0.949 0.949 0.681
Cd: 0.829 0.301 0.569
Cd: 0.625 0.125 0.625
Cd: 0.301 0.301 0.569
Cd: 0.569 0.301 0.829
Cd: 0.114 0.114 0.386
Cd: 0.301 0.569 0.301
Cd: 0.829 0.301 0.301
Cd: 0.681 0.949 0.421
Cd: 0.386 0.114 0.386
Cd: 0.949 0.681 0.421
Cd: 0.136 0.864 0.136
Cd: 0.421 0.949 0.681
Cd: 0.625 0.625 0.125
Cd: 0.421 0.949 0.949
Cd: 0.136 0.864 0.864
Cd: 0.569 0.301 0.301
Sm: 0.500 0.500 0.500
Sm: 0.750 0.750 0.750

SG = Fd-3m (227)
Formation enthalpy at 0 K = -0.093 eV per atom



Entry 8:
Tb4CdNi | PBE | relaxed

Unit cell a=9.596 b=9.596 c=9.596 alpha=60.00 beta=60.00 gamma=60.00
Fractional coordinates of all 24 atoms:
Cd: 0.256 0.581 0.581
Cd: 0.581 0.581 0.256
Cd: 0.581 0.581 0.581
Cd: 0.581 0.256 0.581
Tb: 0.812 0.188 0.188
Tb: 0.188 0.812 0.812
Tb: 0.936 0.564 0.564
Tb: 0.936 0.936 0.564
Tb: 0.188 0.812 0.188
Tb: 0.812 0.812 0.188
Tb: 0.955 0.348 0.348
Tb: 0.936 0.564 0.936
Tb: 0.348 0.348 0.348
Tb: 0.564 0.564 0.936
Tb: 0.348 0.955 0.348
Tb: 0.564 0.936 0.564
Tb: 0.188 0.188 0.812
Tb: 0.564 0.936 0.936
Tb: 0.812 0.188 0.812
Tb: 0.348 0.348 0.955
Ni: 0.142 0.142 0.573
Ni: 0.142 0.573 0.142
Ni: 0.573 0.142 0.142
Ni: 0.142 0.142 0.142

SG = F-43m (216)
Formation enthalpy at 0 K = -0.290 eV per atom



Entry 9:
NpCd11 | PBE | relaxed

Unit cell a=9.449 b=9.449 c=9.449 alpha=90.00 beta=90.00 gamma=90.00
Fractional coordinates of all 36 atoms:
Cd: 0.845 0.155 0.845
Cd: 0.655 0.000 0.345
Cd: 0.735 0.500 0.735
Cd: 0.655 0.345 0.000
Cd: 0.735 0.265 0.500
Cd: 0.000 0.655 0.655
Cd: 0.500 0.265 0.265
Cd: 0.735 0.500 0.265
Cd: 0.000 0.345 0.655
Cd: 0.265 0.265 0.500
Cd: 0.845 0.845 0.155
Cd: 0.735 0.735 0.500
Cd: 0.655 0.000 0.655
Cd: 0.500 0.265 0.735
Cd: 0.265 0.735 0.500
Cd: 0.000 0.655 0.345
Cd: 0.845 0.155 0.155
Cd: 0.500 0.500 0.500
Cd: 0.155 0.845 0.155
Cd: 0.265 0.500 0.265
Cd: 0.655 0.655 0.000
Cd: 0.500 0.735 0.735
Cd: 0.500 0.735 0.265
Cd: 0.155 0.155 0.845
Cd: 0.345 0.655 0.000
Cd: 0.265 0.500 0.735
Cd: 0.000 0.345 0.345
Cd: 0.345 0.000 0.655
Cd: 0.845 0.845 0.845
Cd: 0.345 0.345 0.000
Cd: 0.155 0.845 0.845
Cd: 0.345 0.000 0.345
Cd: 0.155 0.155 0.155
Np: 0.000 0.000 0.500
Np: 0.500 0.000 0.000
Np: 0.000 0.500 0.000

SG = Pm-3m (221)
Formation enthalpy at 0 K = 0.034 eV per atom



Entry 10:
Np3Cd | PBE | relaxed

Unit cell a=5.658 b=5.658 c=5.658 alpha=132.53 beta=132.53 gamma=69.39
Fractional coordinates of all 4 atoms:
Np: 0.250 0.750 0.500
Np: 0.500 0.500 0.000
Np: 0.750 0.250 0.500
Cd: 0.000 0.000 0.000

SG = I4/mmm (139)
Formation enthalpy at 0 K = 0.616 eV per atom



Entry 11:
CdO2 | PBE | relaxed

Unit cell a=5.405 b=5.405 c=5.405 alpha=90.00 beta=90.00 gamma=90.00
Fractional coordinates of all 12 atoms:
Cd: 0.500 0.500 0.500
Cd: 0.500 0.000 0.000
Cd: 0.000 0.500 0.000
Cd: 0.000 0.000 0.500
O: 0.420 0.920 0.580
O: 0.420 0.580 0.080
O: 0.920 0.920 0.920
O: 0.580 0.080 0.420
O: 0.080 0.420 0.580
O: 0.920 0.580 0.420
O: 0.080 0.080 0.080
O: 0.580 0.420 0.920

SG = Pa-3 (205)
Formation enthalpy at 0 K = -0.854 eV per atom



Entry 12:
CdO2 | PBE | relaxed

Unit cell a=6.542 b=6.542 c=3.652 alpha=73.88 beta=73.88 gamma=130.97
Fractional coordinates of all 6 atoms:
O: 0.223 0.700 0.577
O: 0.700 0.223 0.577
O: 0.047 0.047 0.370
O: 0.668 0.668 0.175
Cd: 0.117 0.823 0.061
Cd: 0.823 0.117 0.061

SG = Cm (8)
Formation enthalpy at 0 K = -0.504 eV per atom